# 1
# PBE TiP2S6, relaxed
data_TiP2S6
_space_group_name_H-M_alt 'P 1'
_space_group_IT_number 1
_cell_length_a 12.0961
_cell_length_b 11.3965
_cell_length_c 7.0540
_cell_angle_alpha 78.04
_cell_angle_beta 67.18
_cell_angle_gamma 34.79
loop_
_space_group_symop_operation_xyz
'x,y,z'
loop_
_atom_site_label
_atom_site_fract_x
_atom_site_fract_y
_atom_site_fract_z
Ti1 0.0000 0.0000 0.0000
Ti2 0.2500 0.2500 0.2500
P1 0.0053 0.6657 0.1210
P2 0.0420 0.1290 0.5843
P3 0.1290 0.0420 0.2447
P4 0.6657 0.0053 0.2080
S1 0.0699 0.4590 0.0060
S2 0.0723 0.5762 0.3829
S3 0.1563 0.6847 0.8926
S4 0.2440 0.7849 0.1801
S5 0.2814 0.8671 0.6738
S6 0.3574 0.9836 0.0937
S7 0.4590 0.0699 0.4651
S8 0.5762 0.0723 0.9686
S9 0.6847 0.1563 0.2664
S10 0.7849 0.2440 0.7910
S11 0.8671 0.2814 0.1777
S12 0.9836 0.3574 0.5653
# volume	27.8	Å³/atom
# E	-5.4224	eV per atom

# 2
# PBE Mg6TiNb, relaxed
data_Mg6TiNb
_space_group_name_H-M_alt 'P 1'
_space_group_IT_number 1
_cell_length_a 4.8635
_cell_length_b 6.0948
_cell_length_c 11.2288
_cell_angle_alpha 90.00
_cell_angle_beta 90.00
_cell_angle_gamma 90.00
loop_
_space_group_symop_operation_xyz
'x,y,z'
loop_
_atom_site_label
_atom_site_fract_x
_atom_site_fract_y
_atom_site_fract_z
Mg1 0.5000 0.7566 0.9265
Mg2 0.0000 0.0000 0.3265
Mg3 0.0000 0.2420 0.5747
Mg4 0.5000 0.5000 0.6727
Mg5 0.5000 0.0000 0.1727
Mg6 0.0000 0.7580 0.5747
Mg7 0.0000 0.5000 0.8265
Mg8 0.5000 0.7434 0.4265
Mg9 0.5000 0.2434 0.9265
Mg10 0.0000 0.7420 0.0747
Mg11 0.5000 0.2566 0.4265
Mg12 0.0000 0.2580 0.0747
Ti1 0.0000 0.0000 0.7992
Ti2 0.0000 0.5000 0.2992
Nb1 0.5000 0.0000 0.6992
Nb2 0.5000 0.5000 0.1992
# volume	20.8	Å³/atom
# E	-3.2981	eV per atom
# magnetic moment	0.0	μB/f.u.